PuSi2: optimized geometry, GGA-PBE.

Output
- Energy relative to the elements: -0.43 eV/atom
- VASP energy: -8.846 eV per atom

Geometry as CIF:
```
data_PuSi2
_chemical_formula_sum 'Pu1 Si2'
_symmetry_space_group_name_H-M 'P 6/m m m'
_symmetry_Int_Tables_number 191
_symmetry_space_group_name_Hall '-P 6 2'
_cell_length_a 4.0659
_cell_length_b 4.0659
_cell_length_c 3.8563
_cell_angle_alpha 90.00
_cell_angle_beta 90.00
_cell_angle_gamma 120.00
loop_
_atom_site_label
_atom_site_type_symbol
_atom_site_fract_x
_atom_site_fract_y
_atom_site_fract_z
_atom_site_occupancy
Pu1 Pu 0.0000 0.0000 0.0000 1
Si1 Si 0.3333 0.6667 0.5000 1
```